# 1
A plane-wave DFT calculation with GGA+U was carried out for a relaxed structure of CsBa2Co2F9.

Values from the calculation:
The spin magnetization comes out at 18.0 Bohr magnetons per cell. As for the uncorrected energy: -220.3 eV per cell.

abc: 6.0064 6.0064 21.5051
angles: 90.00 90.00 120.00
Space group R3m (No. 160, hexagonal axes)
One atom of each set of equivalent atoms:
1 Cs 0.0000 0.0000 0.0000 x3
2 Ba 0.0000 0.0000 0.5785 x3
3 Ba 0.0000 0.0000 0.7847 x3
4 Co 0.0000 0.0000 0.1750 x3
5 Co 0.0000 0.0000 0.3909 x3
6 F 0.0041 0.5020 0.5532 x9
7 F 0.1722 0.3444 0.3478 x9
8 F 0.1743 0.3486 0.1217 x9

# 2
A plane-wave DFT calculation with GGA+U was carried out for a relaxed structure of Ba2GdCoCu2O7.

Values from the calculation:
The spin magnetization comes out at 4.6 Bohr magnetons per cell. As for the uncorrected energy: -90.2 eV per cell.

abc: 3.8811 3.9198 11.8447
angles: 90.00 90.00 90.00
Space group Pmmm (No. 47)
One atom of each set of equivalent atoms:
1 Ba 0.0000 0.0000 0.1847 x2
2 Gd 0.0000 0.0000 0.5000 x1
3 Co 0.5000 0.5000 0.0000 x1
4 Cu 0.5000 0.5000 0.3585 x2
5 O 0.0000 0.5000 0.3758 x2
6 O 0.5000 0.0000 0.0000 x1
7 O 0.5000 0.0000 0.3760 x2
8 O 0.5000 0.5000 0.1518 x2

# 3
A plane-wave DFT calculation with GGA+U was carried out for a relaxed structure of Ba2LaCoCu2O7.

Values from the calculation:
The spin magnetization comes out at 2.5 Bohr magnetons per cell. As for the uncorrected energy: -81.0 eV per cell.

abc: 3.9328 3.9614 12.0069
angles: 90.00 90.00 90.00
Space group Pmmm (No. 47)
One atom of each set of equivalent atoms:
1 Ba 0.0000 0.0000 0.1833 x2
2 La 0.0000 0.0000 0.5000 x1
3 Co 0.5000 0.5000 0.0000 x1
4 Cu 0.5000 0.5000 0.3537 x2
5 O 0.0000 0.5000 0.3685 x2
6 O 0.5000 0.0000 0.0000 x1
7 O 0.5000 0.0000 0.3695 x2
8 O 0.5000 0.5000 0.1501 x2

# 4
A plane-wave DFT calculation with GGA+U was carried out for a relaxed structure of Ba2NdCoCu2O7.

Values from the calculation:
The spin magnetization comes out at 2.6 Bohr magnetons per cell. As for the uncorrected energy: -80.7 eV per cell.

abc: 3.9158 3.9467 11.9605
angles: 90.00 90.00 90.00
Space group Pmmm (No. 47)
One atom of each set of equivalent atoms:
1 Ba 0.0000 0.0000 0.1839 x2
2 Nd 0.0000 0.0000 0.5000 x1
3 Co 0.5000 0.5000 0.0000 x1
4 Cu 0.5000 0.5000 0.3565 x2
5 O 0.0000 0.5000 0.3717 x2
6 O 0.5000 0.0000 0.0000 x1
7 O 0.5000 0.0000 0.3718 x2
8 O 0.5000 0.5000 0.1506 x2